Record 1
Material: CsPdBr3
Method: DFT, r2SCAN
State: optimized geometry

```
CsPdBr3
1.0
-3.090 -4.105 -1.211
0.266 -1.676 5.000
-4.272 2.868 1.187
Br Pd Cs
3 1 1
direct
0.500 0.012 0.502
0.500 0.512 0.003
0.000 0.512 0.501
0.500 0.512 0.502
0.000 0.012 0.001
```

## Properties
Energy of formation from the pure elements ... -1.096 eV per atom
Crystal system ... monoclinic
Magnetic moment ... 0.00 Bohr magnetons per cell

---

Record 2
Material: Cs2PdBr6
Method: DFT, r2SCAN
State: optimized geometry

```
Cs2PdBr6
1.0
3.930 -5.531 3.437
1.361 0.381 7.473
-3.523 -4.777 4.756
Br Cs Pd
6 2 1
direct
0.768 0.768 0.232
0.768 0.232 0.768
0.232 0.768 0.768
0.768 0.232 0.232
0.232 0.232 0.768
0.232 0.768 0.232
0.750 0.750 0.750
0.250 0.250 0.250
0.000 0.000 0.000
```

## Properties
Energy of formation from the pure elements ... -1.186 eV per atom
Crystal system ... cubic
Magnetic moment ... 0.00 Bohr magnetons per cell

---

Record 3
Material: CsReBr4
Method: DFT, r2SCAN
State: optimized geometry

```
CsReBr4
1.0
-9.036 -1.541 4.855
-3.919 -7.311 -9.613
5.049 -10.628 6.025
Re Br Cs
8 32 8
direct
0.059 0.014 0.069
0.441 0.514 0.069
0.059 0.486 0.569
0.559 0.486 0.931
0.559 0.014 0.431
0.941 0.514 0.431
0.941 0.986 0.931
0.441 0.986 0.569
0.971 0.794 0.894
0.848 0.161 0.888
0.588 0.484 0.216
0.277 0.061 0.004
0.588 0.016 0.716
0.529 0.294 0.894
0.529 0.206 0.394
0.471 0.706 0.106
0.971 0.706 0.394
0.412 0.516 0.784
0.723 0.561 0.496
0.223 0.939 0.504
0.348 0.339 0.112
0.912 0.516 0.716
0.152 0.661 0.612
0.912 0.984 0.216
0.277 0.439 0.504
0.029 0.206 0.106
0.652 0.661 0.888
0.723 0.939 0.996
0.088 0.484 0.284
0.152 0.839 0.112
0.777 0.061 0.496
0.652 0.839 0.388
0.777 0.439 0.996
0.471 0.794 0.606
0.029 0.294 0.606
0.088 0.016 0.784
0.223 0.561 0.004
0.848 0.339 0.388
0.348 0.161 0.612
0.412 0.984 0.284
0.333 0.804 0.865
0.333 0.696 0.365
0.167 0.196 0.365
0.833 0.696 0.135
0.667 0.304 0.635
0.167 0.304 0.865
0.667 0.196 0.135
0.833 0.804 0.635
```

## Properties
Energy of formation from the pure elements ... -1.000 eV per atom
Crystal system ... orthorhombic
Magnetic moment ... 0.00 Bohr magnetons per cell

---

Record 4
Material: Cs3Sc2Br9
Method: DFT, r2SCAN
State: optimized geometry

```
Cs3Sc2Br9
1.0
-6.036 3.966 2.824
-1.045 -7.127 -2.873
3.260 -7.573 17.604
Br Cs Sc
18 6 4
direct
0.660 0.830 0.588
0.022 0.511 0.750
0.489 0.511 0.750
0.340 0.170 0.088
0.830 0.660 0.412
0.660 0.830 0.912
0.830 0.170 0.412
0.170 0.830 0.588
0.830 0.660 0.088
0.340 0.170 0.412
0.830 0.170 0.088
0.170 0.340 0.588
0.170 0.830 0.912
0.511 0.022 0.250
0.511 0.489 0.250
0.170 0.340 0.912
0.489 0.978 0.750
0.978 0.489 0.250
0.333 0.667 0.075
0.667 0.333 0.575
0.000 0.000 0.750
0.000 0.000 0.250
0.333 0.667 0.425
0.667 0.333 0.925
0.667 0.333 0.344
0.333 0.667 0.844
0.333 0.667 0.656
0.667 0.333 0.156
```

## Properties
Energy of formation from the pure elements ... -2.071 eV per atom
Crystal system ... hexagonal
Magnetic moment ... 0.00 Bohr magnetons per cell